Below is a geometry-optimized U2CrN3 structure, with properties calculated at the r²SCAN level.

Raw total energy ... -35.138 eV per atom
Spin magnetization ... 1.82 μB/f.u.

Cell lengths 6.646, 6.646, 6.646 Å; angles 150.93, 146.91, 44.61 degrees
Atoms (fractional coordinates):
U1 0.646 0.646 0.000
U2 0.354 0.354 0.000
Cr1 0.000 0.000 0.000
N1 0.830 0.830 0.000
N2 0.170 0.170 0.000
N3 0.500 0.000 0.500

=====

Below is a geometry-optimized CoP4H16N2O16 structure, with properties calculated at the r²SCAN level.

Raw total energy ... -7.037 eV per atom
Spin magnetization ... 1.00 μB/f.u.

Cell lengths 7.050, 7.177, 7.705 Å; angles 100.05, 110.74, 88.74 degrees
Atoms (fractional coordinates):
Co1 0.000 0.500 0.000
P1 0.849 0.259 0.272
P2 0.151 0.741 0.728
P3 0.741 0.778 0.735
P4 0.259 0.222 0.265
H1 0.641 0.834 0.191
H2 0.359 0.166 0.809
H3 0.673 0.600 0.170
H4 0.327 0.400 0.830
H5 0.562 0.709 0.319
H6 0.562 0.319 0.915
H7 0.109 0.702 0.331
H8 0.891 0.298 0.669
H9 0.124 0.836 0.190
H10 0.414 0.721 0.563
H11 0.586 0.279 0.437
H12 0.876 0.164 0.810
H13 0.759 0.017 0.037
H14 0.241 0.983 0.963
H15 0.438 0.291 0.681
H16 0.438 0.681 0.085
N1 0.422 0.294 0.809
N2 0.578 0.706 0.191
O1 0.053 0.724 0.200
O2 0.089 0.238 0.360
O3 0.753 0.057 0.171
O4 0.911 0.762 0.640
O5 0.237 0.024 0.152
O6 0.947 0.276 0.800
O7 0.785 0.323 0.438
O8 0.763 0.976 0.848
O9 0.450 0.245 0.448
O10 0.550 0.755 0.552
O11 0.250 0.380 0.159
O12 0.195 0.613 0.872
O13 0.215 0.677 0.562
O14 0.750 0.620 0.841
O15 0.805 0.387 0.128
O16 0.247 0.943 0.829

=====

Below is a geometry-optimized CeSbAu structure, with properties calculated at the r²SCAN level.

Raw total energy ... -36.739 eV per atom
Spin magnetization ... 0.49 μB/f.u.

Cell lengths 4.644, 4.644, 17.018 Å; angles 90.00, 90.00, 120.00 degrees
Atoms (fractional coordinates):
Ce1 0.000 0.000 0.500
Ce2 0.000 0.000 0.000
Ce3 0.000 0.000 0.251
Ce4 0.000 0.000 0.749
Sb1 0.333 0.667 0.389
Sb2 0.667 0.333 0.611
Sb3 0.667 0.333 0.889
Sb4 0.333 0.667 0.111
Au1 0.667 0.333 0.338
Au2 0.333 0.667 0.662
Au3 0.333 0.667 0.837
Au4 0.667 0.333 0.163

=====

Below is a geometry-optimized Co5CuO8 structure, with properties calculated at the r²SCAN level.

Raw total energy ... -10.154 eV per atom
Spin magnetization ... 8.00 μB/f.u.

Cell lengths 5.703, 9.971, 5.703 Å; angles 73.39, 119.99, 90.01 degrees
Atoms (fractional coordinates):
Co1 0.502 0.498 0.002
Co2 0.000 0.998 0.001
Co3 0.625 0.127 0.249
Co4 0.124 0.627 0.248
Co5 0.561 0.812 0.124
Co6 0.064 0.313 0.126
Co7 0.061 0.812 0.624
Co8 0.564 0.313 0.626
Co9 0.064 0.313 0.626
Co10 0.561 0.812 0.624
Cu1 0.813 0.562 0.625
Cu2 0.312 0.063 0.625
O1 0.693 0.919 0.387
O2 0.195 0.419 0.388
O3 0.430 0.706 0.862
O4 0.932 0.206 0.863
O5 0.919 0.700 0.379
O6 0.421 0.200 0.381
O7 0.204 0.925 0.409
O8 0.706 0.425 0.411
O9 0.204 0.925 0.870
O10 0.706 0.425 0.871
O11 0.664 0.925 0.869
O12 0.166 0.425 0.871
O13 0.961 0.200 0.380
O14 0.459 0.700 0.379
O15 0.421 0.200 0.841
O16 0.919 0.700 0.839

=====

Below is a geometry-optimized Sr2TlHg structure, with properties calculated at the r²SCAN level.

Raw total energy ... -33.744 eV per atom
Spin magnetization ... 0.00 μB/f.u.

Cell lengths 5.679, 5.679, 5.679 Å; angles 60.00, 60.00, 60.00 degrees
Atoms (fractional coordinates):
Sr1 0.250 0.250 0.250
Sr2 0.750 0.750 0.750
Tl1 0.000 0.000 0.000
Hg1 0.500 0.500 0.500

=====

Below is a geometry-optimized CaAgHg2 structure, with properties calculated at the r²SCAN level.

Raw total energy ... -32.129 eV per atom
Spin magnetization ... 0.00 μB/f.u.

Cell lengths 5.046, 5.046, 5.046 Å; angles 60.00, 60.00, 60.00 degrees
Atoms (fractional coordinates):
Ca1 0.750 0.750 0.750
Ag1 0.250 0.250 0.250
Hg1 0.000 0.000 0.000
Hg2 0.500 0.500 0.500

=====

Below is a geometry-optimized La4Se7S structure, with properties calculated at the r²SCAN level.

Raw total energy ... -20.972 eV per atom
Spin magnetization ... 0.00 μB/f.u.

Cell lengths 4.259, 8.524, 8.562 Å; angles 89.77, 89.96, 89.93 degrees
Atoms (fractional coordinates):
La1 0.275 0.627 0.716
La2 0.788 0.867 0.279
La3 0.712 0.378 0.278
La4 0.220 0.127 0.725
Se1 0.329 0.882 0.003
Se2 0.825 0.617 0.997
Se3 0.678 0.115 0.999
Se4 0.174 0.385 0.003
Se5 0.758 0.874 0.634
Se6 0.741 0.376 0.634
Se7 0.239 0.126 0.366
S1 0.262 0.627 0.365

=====

Below is a geometry-optimized UCoC2 structure, with properties calculated at the r²SCAN level.

Raw total energy ... -28.445 eV per atom
Spin magnetization ... 0.76 μB/f.u.

Cell lengths 3.469, 3.469, 7.276 Å; angles 90.00, 90.00, 90.00 degrees
Atoms (fractional coordinates):
U1 0.000 0.500 0.318
U2 0.500 0.000 0.682
Co1 0.500 0.500 0.000
Co2 0.000 0.000 0.000
C1 0.000 0.500 0.845
C2 0.500 0.000 0.155
C3 0.000 0.500 0.642
C4 0.500 0.000 0.358

=====

Below is a geometry-optimized ScNiGe structure, with properties calculated at the r²SCAN level.

Raw total energy ... -13.262 eV per atom
Spin magnetization ... 0.00 μB/f.u.

Cell lengths 4.069, 6.470, 7.038 Å; angles 90.00, 90.00, 90.00 degrees
Atoms (fractional coordinates):
Sc1 0.750 0.506 0.707
Sc2 0.250 0.494 0.293
Sc3 0.750 0.006 0.793
Sc4 0.250 0.994 0.207
Ni1 0.750 0.812 0.421
Ni2 0.250 0.188 0.579
Ni3 0.750 0.312 0.079
Ni4 0.250 0.688 0.921
Ge1 0.750 0.203 0.408
Ge2 0.250 0.797 0.592
Ge3 0.750 0.703 0.092
Ge4 0.250 0.297 0.908

=====

Below is a geometry-optimized Mn3Zn2O8 structure, with properties calculated at the r²SCAN level.

Raw total energy ... -10.378 eV per atom
Spin magnetization ... 9.00 μB/f.u.
Polymorph energy (0 for the lowest one) ... 4.8 meV per atom

Cell lengths 5.744, 5.744, 9.242 Å; angles 90.00, 90.00, 120.00 degrees
Atoms (fractional coordinates):
Mn1 0.673 0.836 0.245
Mn2 0.836 0.164 0.745
Mn3 0.164 0.327 0.245
Mn4 0.836 0.673 0.745
Mn5 0.327 0.164 0.745
Mn6 0.164 0.836 0.245
Zn1 0.667 0.333 0.033
Zn2 0.333 0.667 0.533
Zn3 0.667 0.333 0.420
Zn4 0.333 0.667 0.920
O1 0.842 0.158 0.143
O2 0.684 0.842 0.643
O3 0.158 0.316 0.643
O4 0.842 0.685 0.143
O5 0.315 0.158 0.143
O6 0.158 0.842 0.643
O7 0.518 0.482 0.863
O8 0.036 0.518 0.363
O9 0.482 0.964 0.363
O10 0.518 0.036 0.863
O11 0.000 0.000 0.351
O12 0.000 0.000 0.851
O13 0.333 0.667 0.137
O14 0.964 0.482 0.863
O15 0.482 0.518 0.363
O16 0.667 0.333 0.637

=====

Below is a geometry-optimized EuBe13 structure, with properties calculated at the r²SCAN level.

Raw total energy ... -6.900 eV per atom
Spin magnetization ... 6.87 μB/f.u.

Cell lengths 7.293, 7.293, 7.293 Å; angles 60.00, 60.00, 60.00 degrees
Atoms (fractional coordinates):
Eu1 0.750 0.750 0.750
Eu2 0.250 0.250 0.250
Be1 0.500 0.500 0.500
Be2 0.000 0.000 0.000
Be3 0.789 0.437 0.211
Be4 0.211 0.563 0.789
Be5 0.563 0.211 0.437
Be6 0.437 0.789 0.563
Be7 0.289 0.063 0.711
Be8 0.711 0.937 0.289
Be9 0.937 0.711 0.063
Be10 0.063 0.289 0.937
Be11 0.437 0.211 0.789
Be12 0.563 0.789 0.211
Be13 0.211 0.437 0.563
Be14 0.789 0.563 0.437
Be15 0.063 0.711 0.289
Be16 0.937 0.289 0.711
Be17 0.711 0.063 0.937
Be18 0.289 0.937 0.063
Be19 0.211 0.789 0.437
Be20 0.789 0.211 0.563
Be21 0.437 0.563 0.211
Be22 0.563 0.437 0.789
Be23 0.711 0.289 0.063
Be24 0.289 0.711 0.937
Be25 0.063 0.937 0.711
Be26 0.937 0.063 0.289

=====

Below is a geometry-optimized SiO2 structure, with properties calculated at the r²SCAN level.

Raw total energy ... -9.923 eV per atom
Spin magnetization ... 0.00 μB/f.u.

Cell lengths 9.284, 9.284, 18.431 Å; angles 90.00, 90.00, 94.53 degrees
Atoms (fractional coordinates):
Si1 0.922 0.150 0.166
Si2 0.850 0.078 0.834
Si3 0.150 0.922 0.334
Si4 0.078 0.850 0.666
Si5 0.078 0.850 0.834
Si6 0.150 0.922 0.166
Si7 0.850 0.078 0.666
Si8 0.922 0.150 0.334
Si9 0.657 0.885 0.938
Si10 0.115 0.343 0.062
Si11 0.885 0.657 0.562
Si12 0.343 0.115 0.438
Si13 0.343 0.115 0.062
Si14 0.885 0.657 0.938
Si15 0.115 0.343 0.438
Si16 0.657 0.885 0.562
Si17 0.133 0.675 0.053
Si18 0.325 0.867 0.947
Si19 0.675 0.133 0.447
Si20 0.867 0.325 0.553
Si21 0.867 0.325 0.947
Si22 0.675 0.133 0.053
Si23 0.325 0.867 0.553
Si24 0.133 0.675 0.447
O1 0.002 0.002 0.159
O2 0.998 0.998 0.841
O3 0.002 0.002 0.341
O4 0.998 0.998 0.659
O5 0.896 0.187 0.250
O6 0.813 0.104 0.750
O7 0.187 0.896 0.250
O8 0.104 0.813 0.750
O9 0.021 0.282 0.130
O10 0.718 0.979 0.870
O11 0.282 0.021 0.370
O12 0.979 0.718 0.630
O13 0.979 0.718 0.870
O14 0.282 0.021 0.130
O15 0.718 0.979 0.630
O16 0.021 0.282 0.370
O17 0.769 0.129 0.126
O18 0.871 0.231 0.874
O19 0.129 0.769 0.374
O20 0.231 0.871 0.626
O21 0.231 0.871 0.874
O22 0.129 0.769 0.126
O23 0.871 0.231 0.626
O24 0.769 0.129 0.374
O25 0.679 0.979 0.012
O26 0.021 0.321 0.988
O27 0.979 0.679 0.488
O28 0.321 0.021 0.512
O29 0.321 0.021 0.988
O30 0.979 0.679 0.012
O31 0.021 0.321 0.512
O32 0.679 0.979 0.488
O33 0.741 0.741 0.946
O34 0.259 0.259 0.054
O35 0.741 0.741 0.554
O36 0.259 0.259 0.446
O37 0.488 0.839 0.926
O38 0.161 0.512 0.074
O39 0.839 0.488 0.574
O40 0.512 0.161 0.426
O41 0.512 0.161 0.074
O42 0.839 0.488 0.926
O43 0.161 0.512 0.426
O44 0.488 0.839 0.574
O45 0.261 0.739 0.000
O46 0.739 0.261 0.500
O47 0.739 0.261 0.000
O48 0.261 0.739 0.500

=====

Number 1: calculated density 12.2 g/cm³. Number 2: calculated density 2.2 g/cm³. Number 3: calculated density 9.6 g/cm³. Number 4: calculated density 6.1 g/cm³. Number 5: calculated density 7.4 g/cm³. Number 6: calculated density 10.0 g/cm³. Number 7: calculated density 6.1 g/cm³. Number 8: calculated density 12.2 g/cm³. Number 9: calculated density 6.3 g/cm³. Number 10: calculated density 5.3 g/cm³. Number 11: calculated density 3.3 g/cm³. Number 12: calculated density 1.5 g/cm³.